This record from the Materials Project database describes a relaxed structure of UTcC2. The functional is PBE.

Lattice parameters (Å, degrees): 5.597 3.189 11.001 90.00 90.00 90.00
Space group Pnma (No. 62)
Unique sites:
U (0.083, 0.250, 0.142) [4 per cell]
Tc (0.082, 0.750, 0.398) [4 per cell]
C (0.158, 0.250, 0.756) [4 per cell]
C (0.243, 0.250, 0.493) [4 per cell]

***

This record from the Materials Project database describes a relaxed structure of RbSeBr3. The functional is PBE.

Lattice parameters (Å, degrees): 5.523 5.523 5.518 90.00 90.00 90.00
Space group P4mm (No. 99)
Unique sites:
Rb (0.000, 0.000, 0.000) [1 per cell]
Se (0.500, 0.500, 0.488) [1 per cell]
Br (0.000, 0.500, 0.488) [2 per cell]
Br (0.500, 0.500, 0.988) [1 per cell]

***

This record from the Materials Project database describes a relaxed structure of LiAgF4. The functional is PBE.

Output
Polymorph energy (0 for the lowest one): 0.07 eV/f.u.

Lattice parameters (Å, degrees): 5.829 5.246 6.312 90.00 119.58 90.00
Space group P2_1/c (No. 14)
Unique sites:
Li (0.000, 0.000, 0.000) [2 per cell]
Ag (0.500, 0.000, 0.500) [2 per cell]
F (0.163, 0.190, 0.361) [4 per cell]
F (0.337, 0.672, 0.680) [4 per cell]

***

This record from the Materials Project database describes a relaxed structure of SnGeO3. The functional is PBE.

Output
Size of the total moment: 0.000 μB per atom

Lattice parameters (Å, degrees): 3.864 3.864 3.864 90.00 90.00 90.00
Space group Pm-3m (No. 221)
Unique sites:
Sn (0.000, 0.000, 0.000) [1 per cell]
Ge (0.500, 0.500, 0.500) [1 per cell]
O (0.000, 0.500, 0.500) [3 per cell]

***

This record from the Materials Project database describes a relaxed structure of LiSn6P7O24. The functional is PBE.

Output
Size of the total moment: 0.000 μB per atom

Lattice parameters (Å, degrees): 6.271 27.595 7.352 90.00 112.73 90.00
Space group P2_1/m (No. 11)
Unique sites:
Li (0.095, 0.250, 0.488) [2 per cell]
Sn (0.159, 0.681, 0.279) [4 per cell]
Sn (0.171, 0.545, 0.692) [4 per cell]
Sn (0.223, 0.099, 0.092) [4 per cell]
P (0.234, 0.671, 0.818) [4 per cell]
P (0.294, 0.528, 0.196) [4 per cell]
P (0.329, 0.105, 0.617) [4 per cell]
P (0.479, 0.250, 0.916) [2 per cell]
O (0.095, 0.697, 0.630) [4 per cell]
O (0.104, 0.665, 0.958) [4 per cell]
O (0.146, 0.554, 0.001) [4 per cell]
O (0.170, 0.091, 0.402) [4 per cell]
O (0.174, 0.528, 0.340) [4 per cell]
O (0.189, 0.119, 0.738) [4 per cell]
O (0.224, 0.250, 0.788) [2 per cell]
O (0.340, 0.623, 0.784) [4 per cell]
O (0.359, 0.750, 0.196) [2 per cell]
O (0.373, 0.023, 0.153) [4 per cell]
O (0.459, 0.055, 0.714) [4 per cell]
O (0.468, 0.704, 0.940) [4 per cell]
O (0.489, 0.642, 0.386) [4 per cell]

***

This record from the Materials Project database describes a relaxed structure of CdBiIO2. The functional is PBE.

Output
Size of the total moment: 0.000 μB per atom

Lattice parameters (Å, degrees): 4.024 4.024 13.211 90.00 90.00 90.00
Space group I4mm (No. 107)
Unique sites:
Cd (0.000, 0.000, 0.000) [2 per cell]
Bi (0.000, 0.000, 0.335) [2 per cell]
I (0.000, 0.000, 0.653) [2 per cell]
O (0.000, 0.500, 0.415) [4 per cell]

***

This record from the Materials Project database describes a relaxed structure of Sb2S2O9. The functional is PBE.

Output
Largest piezoelectric modulus: 0.279 C/m2

Lattice parameters (Å, degrees): 6.683 6.683 17.386 90.00 90.00 90.00
Space group P4_12_12 (No. 92)
Unique sites:
Sb (0.022, 0.152, 0.157) [8 per cell]
S (0.037, 0.355, 0.696) [8 per cell]
O (0.002, 0.370, 0.954) [8 per cell]
O (0.038, 0.826, 0.152) [8 per cell]
O (0.047, 0.702, 0.903) [8 per cell]
O (0.109, 0.292, 0.774) [8 per cell]
O (0.140, 0.860, 0.750) [4 per cell]

***

This record from the Materials Project database describes a relaxed structure of Eu2BPd6. The functional is PBE.

Lattice parameters (Å, degrees): 4.344 4.344 8.315 90.00 90.00 90.00
Space group P4/mmm (No. 123)
Unique sites:
Eu (0.000, 0.000, 0.239) [2 per cell]
B (0.500, 0.500, 0.500) [1 per cell]
Pd (0.000, 0.500, 0.000) [2 per cell]
Pd (0.000, 0.500, 0.500) [2 per cell]
Pd (0.500, 0.500, 0.244) [2 per cell]

***

This record from the Materials Project database describes a relaxed structure of Sr2MgIn. The functional is PBE.

Lattice parameters (Å, degrees): 8.228 8.228 8.228 90.00 90.00 90.00
Space group Fm-3m (No. 225)
Unique sites:
Sr (0.250, 0.250, 0.250) [8 per cell]
Mg (0.000, 0.000, 0.000) [4 per cell]
In (0.000, 0.000, 0.500) [4 per cell]

***

This record from the Materials Project database describes a relaxed structure of CaCuO3. The functional is PBE.

Output
Size of the total moment: 0.014 μB per atom

Lattice parameters (Å, degrees): 3.804 3.804 3.804 90.00 90.00 90.00
Space group Pm-3m (No. 221)
Unique sites:
Ca (0.000, 0.000, 0.000) [1 per cell]
Cu (0.500, 0.500, 0.500) [1 per cell]
O (0.000, 0.500, 0.500) [3 per cell]

***

This record from the Materials Project database describes a relaxed structure of TbZnGe. The functional is PBE.

Lattice parameters (Å, degrees): 4.2454 4.2454 15.6303 90.00 90.00 120.00
Space group P6_3/mmc (No. 194)
Unique sites:
Tb (0.0000, 0.0000, 0.0000) [2 per cell]
Tb (0.0000, 0.0000, 0.2500) [2 per cell]
Zn (0.3333, 0.6667, 0.1450) [4 per cell]
Ge (0.3333, 0.6667, 0.6126) [4 per cell]

***

This record from the Materials Project database describes a relaxed structure of Th2Cu. The functional is PBE.

Lattice parameters (Å, degrees): 5.3614 5.3614 3.1232 90.00 90.00 120.00
Space group P6/mmm (No. 191)
Unique sites:
Th (0.3333, 0.6667, 0.0000) [2 per cell]
Cu (0.0000, 0.0000, 0.5000) [1 per cell]

***

This record from the Materials Project database describes a relaxed structure of V3S5. The functional is PBE.

Lattice parameters (Å, degrees): 5.624 6.684 8.097 109.98 110.23 90.18
Space group P-1 (No. 2)
Unique sites:
V (0.000, 0.000, 0.000) [1 per cell]
V (0.105, 0.714, 0.216) [2 per cell]
V (0.312, 0.108, 0.608) [2 per cell]
V (0.500, 0.500, 0.000) [1 per cell]
S (0.017, 0.944, 0.695) [2 per cell]
S (0.183, 0.447, 0.700) [2 per cell]
S (0.215, 0.355, 0.100) [2 per cell]
S (0.384, 0.850, 0.098) [2 per cell]
S (0.420, 0.751, 0.501) [2 per cell]

***

This record from the Materials Project database describes a relaxed structure of ZrMoP. The functional is PBE.

Lattice parameters (Å, degrees): 6.9679 6.9679 3.4564 90.00 90.00 120.00
Space group P-62m (No. 189)
Unique sites:
Zr (0.0000, 0.5959, 0.0000) [3 per cell]
Mo (0.0000, 0.2513, 0.5000) [3 per cell]
P (0.0000, 0.0000, 0.0000) [1 per cell]
P (0.3333, 0.6667, 0.5000) [2 per cell]

***

This record from the Materials Project database describes a relaxed structure of Mg2S3N2O12. The functional is PBE.

Output
Size of the total moment: 0.399 μB per atom

Lattice parameters (Å, degrees): 10.085 10.085 10.085 90.00 90.00 90.00
Space group P2_13 (No. 198)
Unique sites:
Mg (0.085, 0.085, 0.085) [4 per cell]
Mg (0.149, 0.649, 0.851) [4 per cell]
S (0.034, 0.266, 0.376) [12 per cell]
N (0.066, 0.934, 0.434) [4 per cell]
N (0.202, 0.298, 0.702) [4 per cell]
O (0.003, 0.907, 0.148) [12 per cell]
O (0.019, 0.190, 0.251) [12 per cell]
O (0.023, 0.053, 0.708) [12 per cell]
O (0.083, 0.825, 0.761) [12 per cell]

***

Raw total energy values (in eV per atom) by entry order: -10.206 -2.643 -3.733 -5.916 -6.725 -4.222 -6.025 -7.082 -2.196 -5.478 -4.186 -5.819 -6.896 -9.252 -5.680.